No. 1
The following is a DFT calculation (PBE with a Hubbard U) of crystalline AlVO3 at its relaxed geometry.

Results
calculated formation energy = -2.89 eV per atom
total magnetic moment = 16.00 μB per cell
symmetry = Cm (8)

a = 13.214 Å, b = 13.214 Å, c = 5.837 Å
α = 77.30°, β = 77.30°, γ = 25.71°
Sites, in units of the cell vectors:
1 Al 0.004 0.004 0.992
2 Al 0.540 0.540 0.699
3 Al 0.539 0.539 0.218
4 Al 0.661 0.661 0.342
5 Al 0.208 0.208 0.539
6 Al 0.754 0.754 0.744
7 Al 0.878 0.878 0.865
8 Al 0.415 0.415 0.075
9 V 0.881 0.369 0.873
10 V 0.369 0.881 0.873
11 V 0.207 0.207 0.041
12 V 0.534 0.047 0.206
13 V 0.047 0.534 0.206
14 V 0.878 0.878 0.375
15 V 0.709 0.209 0.539
16 V 0.209 0.709 0.539
17 O 0.742 0.329 0.462
18 O 0.329 0.742 0.462
19 O 0.772 0.312 0.955
20 O 0.312 0.772 0.955
21 O 0.619 0.619 0.127
22 O 0.619 0.619 0.637
23 O 0.130 0.130 0.094
24 O 0.136 0.136 0.643
25 O 0.459 0.964 0.782
26 O 0.964 0.459 0.782
27 O 0.958 0.451 0.301
28 O 0.451 0.958 0.301
29 O 0.285 0.285 0.988
30 O 0.280 0.280 0.438
31 O 0.795 0.795 0.447
32 O 0.797 0.797 0.955
33 O 0.114 0.636 0.108
34 O 0.636 0.114 0.108
35 O 0.668 0.096 0.629
36 O 0.096 0.668 0.629
37 O 0.958 0.958 0.800
38 O 0.960 0.960 0.286
39 O 0.461 0.461 0.790
40 O 0.460 0.460 0.277

=====

No. 2
The following is a DFT calculation (PBE with a Hubbard U) of crystalline AlVO3 at its relaxed geometry.

Results
calculated formation energy = -2.83 eV per atom
total magnetic moment = 8.00 μB per cell
symmetry = Pnma (62)

a = 5.036 Å, b = 5.053 Å, c = 7.863 Å
α = 90.00°, β = 90.00°, γ = 90.00°
Sites, in units of the cell vectors:
1 Al 0.977 0.495 0.250
2 Al 0.477 0.005 0.750
3 Al 0.523 0.995 0.250
4 Al 0.023 0.505 0.750
5 V 0.000 0.000 0.000
6 V 0.500 0.500 0.000
7 V 0.500 0.500 0.500
8 V 0.000 0.000 0.500
9 O 0.650 0.836 0.920
10 O 0.150 0.664 0.080
11 O 0.850 0.336 0.580
12 O 0.350 0.164 0.420
13 O 0.350 0.164 0.080
14 O 0.850 0.336 0.920
15 O 0.150 0.664 0.420
16 O 0.650 0.836 0.580
17 O 0.139 0.857 0.750
18 O 0.639 0.643 0.250
19 O 0.361 0.357 0.750
20 O 0.861 0.143 0.250

=====

No. 3
The following is a DFT calculation (PBE with a Hubbard U) of crystalline AlVO3 at its relaxed geometry.

Results
calculated formation energy = -2.89 eV per atom
total magnetic moment = 8.00 μB per cell
symmetry = Pnma (62)

a = 5.058 Å, b = 5.234 Å, c = 6.979 Å
α = 90.00°, β = 90.00°, γ = 90.00°
Sites, in units of the cell vectors:
1 Al 0.000 0.500 0.000
2 Al 0.000 0.500 0.500
3 Al 0.500 0.000 0.000
4 Al 0.500 0.000 0.500
5 V 0.992 0.942 0.750
6 V 0.508 0.442 0.750
7 V 0.492 0.558 0.250
8 V 0.008 0.058 0.250
9 O 0.112 0.437 0.250
10 O 0.168 0.174 0.554
11 O 0.168 0.174 0.946
12 O 0.332 0.674 0.946
13 O 0.332 0.674 0.554
14 O 0.388 0.937 0.250
15 O 0.612 0.063 0.750
16 O 0.668 0.326 0.446
17 O 0.668 0.326 0.054
18 O 0.832 0.826 0.054
19 O 0.832 0.826 0.446
20 O 0.888 0.563 0.750

=====

No. 4
The following is a DFT calculation (PBE with a Hubbard U) of crystalline AlVO3 at its relaxed geometry.

Results
calculated formation energy = -2.27 eV per atom
total magnetic moment = 2.00 μB per cell
symmetry = Pm-3m (221)

a = 3.640 Å, b = 3.640 Å, c = 3.640 Å
α = 90.00°, β = 90.00°, γ = 90.00°
Sites, in units of the cell vectors:
1 Al 0.500 0.500 0.500
2 V 0.000 0.000 0.000
3 O 0.500 0.500 0.000
4 O 0.500 0.000 0.500
5 O 0.000 0.500 0.500

=====

No. 5
The following is a DFT calculation (PBE with a Hubbard U) of crystalline AlVO3 at its relaxed geometry.

Results
calculated formation energy = -2.65 eV per atom
total magnetic moment = 4.00 μB per cell
symmetry = P6_3/mmc (194)

a = 3.178 Å, b = 3.178 Å, c = 12.058 Å
α = 90.00°, β = 90.00°, γ = 120.00°
Sites, in units of the cell vectors:
1 Al 0.000 0.000 0.500
2 Al 0.000 0.000 0.000
3 V 0.667 0.333 0.750
4 V 0.333 0.667 0.250
5 O 0.333 0.667 0.424
6 O 0.667 0.333 0.924
7 O 0.667 0.333 0.576
8 O 0.333 0.667 0.076
9 O 0.000 0.000 0.250
10 O 0.000 0.000 0.750

=====

No. 6
The following is a DFT calculation (PBE with a Hubbard U) of crystalline AlVO3 at its relaxed geometry.

Results
calculated formation energy = -2.96 eV per atom

a = 4.961 Å, b = 9.553 Å, c = 4.961 Å
α = 74.95°, β = 120.00°, γ = 105.05°
Sites, in units of the cell vectors:
1 Al 0.075 0.225 0.925
2 Al 0.575 0.725 0.425
3 Al 0.425 0.275 0.575
4 Al 0.925 0.775 0.075
5 V 0.176 0.529 0.824
6 V 0.324 0.971 0.676
7 V 0.676 0.028 0.324
8 V 0.824 0.472 0.176
9 O 0.420 0.368 0.190
10 O 0.920 0.868 0.690
11 O 0.690 0.132 0.638
12 O 0.190 0.632 0.138
13 O 0.362 0.132 0.920
14 O 0.862 0.632 0.420
15 O 0.138 0.368 0.580
16 O 0.638 0.868 0.080
17 O 0.810 0.368 0.862
18 O 0.310 0.868 0.362
19 O 0.080 0.132 0.310
20 O 0.580 0.632 0.810

=====

No. 7
The following is a DFT calculation (PBE with a Hubbard U) of crystalline AlVW2O8 at its relaxed geometry.

Results
energy above the lowest structure with this stoichiometry = 0.0 meV per atom
calculated formation energy = -2.48 eV per atom
total magnetic moment = 4.00 μB per cell
symmetry = P2 (3)

a = 5.138 Å, b = 5.550 Å, c = 9.204 Å
α = 90.00°, β = 90.34°, γ = 90.00°
Sites, in units of the cell vectors:
1 Al 0.250 0.655 0.250
2 Al 0.750 0.345 0.750
3 V 0.750 0.359 0.250
4 V 0.250 0.640 0.750
5 W 0.754 0.836 0.499
6 W 0.746 0.836 0.001
7 W 0.246 0.164 0.501
8 W 0.254 0.164 0.999
9 O 0.397 0.386 0.134
10 O 0.103 0.386 0.366
11 O 0.602 0.616 0.865
12 O 0.897 0.616 0.635
13 O 0.407 0.878 0.609
14 O 0.093 0.878 0.891
15 O 0.592 0.121 0.390
16 O 0.908 0.121 0.110
17 O 0.932 0.626 0.143
18 O 0.568 0.626 0.357
19 O 0.067 0.373 0.857
20 O 0.433 0.373 0.643
21 O 0.416 0.877 0.119
22 O 0.583 0.123 0.881
23 O 0.084 0.877 0.381
24 O 0.917 0.123 0.619

=====

No. 8
The following is a DFT calculation (PBE with a Hubbard U) of crystalline AlVW2O8 at its relaxed geometry.

Results
energy above the lowest structure with this stoichiometry = 153.2 meV per atom
calculated formation energy = -2.33 eV per atom
total magnetic moment = 4.00 μB per cell
symmetry = P-1 (2)

a = 4.969 Å, b = 5.464 Å, c = 5.581 Å
α = 107.91°, β = 109.11°, γ = 89.32°
Sites, in units of the cell vectors:
1 Al 0.000 0.500 0.500
2 V 0.500 0.000 0.500
3 W 0.756 0.821 0.015
4 W 0.244 0.179 0.985
5 O 0.824 0.560 0.745
6 O 0.736 0.720 0.316
7 O 0.824 0.077 0.824
8 O 0.669 0.182 0.256
9 O 0.264 0.280 0.684
10 O 0.176 0.440 0.255
11 O 0.176 0.923 0.176
12 O 0.331 0.818 0.744

=====

Calculated volume? In order: 431, 200, 185, 48, 105, 194, 262, 136 Å³ per cell.